No. 1
Entry from Materials Project: a relaxed HoP2Pd2 crystal (GGA-PBE).

```
data_HoP2Pd2
_chemical_formula_sum 'Ho2 P4 Pd4'
_cell_length_a 4.087
_cell_length_b 4.087
_cell_length_c 9.900
_cell_angle_alpha 90.00
_cell_angle_beta 90.00
_cell_angle_gamma 90.00
_space_group_name_H-M_alt 'I 4/m m m'
_space_group_IT_number 139
_space_group_name_Hall '-I 4 2'
loop_
_atom_site_label
_atom_site_type_symbol
_atom_site_fract_x
_atom_site_fract_y
_atom_site_fract_z
Ho1 Ho 0.000 0.000 0.000
P1 P 0.000 0.000 0.389
Pd1 Pd 0.000 0.500 0.250
```

V = 16.53 Å³ per atom
E_form = -916 meV per atom

***

No. 2
Entry from Materials Project: a relaxed ZnBP2H4NO8 crystal (GGA-PBE).

```
data_ZnBP2H4NO8
_chemical_formula_sum 'Zn2 B2 P4 H8 N2 O16'
_cell_length_a 7.521
_cell_length_b 7.832
_cell_length_c 7.878
_cell_angle_alpha 60.64
_cell_angle_beta 76.66
_cell_angle_gamma 64.70
_space_group_name_H-M_alt 'P -1'
_space_group_IT_number 2
loop_
_space_group_symop_operation_xyz
'x,y,z'
'-x,-y,-z'
loop_
_atom_site_label
_atom_site_type_symbol
_atom_site_fract_x
_atom_site_fract_y
_atom_site_fract_z
Zn1 Zn 0.194 0.252 0.452
B1 B 0.303 0.916 0.003
P1 P 0.028 0.728 0.166
P2 P 0.459 0.913 0.299
H1 H 0.143 0.564 0.773
H2 H 0.253 0.740 0.618
H3 H 0.268 0.642 0.859
H4 H 0.390 0.482 0.748
N1 N 0.264 0.607 0.750
O1 O 0.010 0.772 0.338
O2 O 0.058 0.501 0.216
O3 O 0.158 0.128 0.966
O4 O 0.213 0.768 0.032
O5 O 0.270 0.014 0.394
O6 O 0.394 0.279 0.548
O7 O 0.415 0.824 0.179
O8 O 0.448 0.916 0.838
```

V = 10.75 Å³ per atom
E_form = -2012 meV per atom

***

No. 3
Entry from Materials Project: a relaxed Na2Hf8Si5S7O48 crystal (GGA-PBE).

```
data_Na2Hf8Si5S7O48
_chemical_formula_sum 'Na6 Hf24 Si15 S21 O144'
_cell_length_a 8.970
_cell_length_b 15.499
_cell_length_c 23.322
_cell_angle_alpha 89.95
_cell_angle_beta 89.94
_cell_angle_gamma 89.92
_space_group_name_H-M_alt 'P 1'
_space_group_IT_number 1
loop_
_space_group_symop_operation_xyz
'x,y,z'
loop_
_atom_site_label
_atom_site_type_symbol
_atom_site_fract_x
_atom_site_fract_y
_atom_site_fract_z
Na1 Na 0.000 0.000 0.000
Na2 Na 0.002 0.342 0.653
Na3 Na 0.012 0.003 0.489
Na4 Na 0.496 0.500 0.991
Na5 Na 0.508 0.842 0.159
Na6 Na 0.511 0.494 0.495
Hf1 Hf 0.003 0.676 0.187
Hf2 Hf 0.005 0.337 0.512
Hf3 Hf 0.007 0.338 0.807
Hf4 Hf 0.010 0.338 0.018
Hf5 Hf 0.010 0.998 0.350
Hf6 Hf 0.017 0.676 0.971
Hf7 Hf 0.493 0.181 0.467
Hf8 Hf 0.493 0.835 0.017
Hf9 Hf 0.496 0.497 0.849
Hf10 Hf 0.497 0.839 0.517
Hf11 Hf 0.500 0.834 0.804
Hf12 Hf 0.501 0.836 0.308
Hf13 Hf 0.506 0.176 0.685
Hf14 Hf 0.508 0.175 0.974
Hf15 Hf 0.516 0.497 0.142
Hf16 Hf 0.517 0.498 0.347
Hf17 Hf 0.518 0.168 0.179
Hf18 Hf 0.518 0.494 0.636
Hf19 Hf 0.989 0.996 0.138
Hf20 Hf 0.990 0.998 0.638
Hf21 Hf 0.991 0.668 0.677
Hf22 Hf 0.994 0.333 0.308
Hf23 Hf 0.995 0.004 0.844
Hf24 Hf 0.998 0.674 0.472
Si1 Si 0.141 0.192 0.409
Si2 Si 0.146 0.813 0.078
Si3 Si 0.215 0.833 0.411
Si4 Si 0.292 0.333 0.911
Si5 Si 0.353 0.313 0.578
Si6 Si 0.366 0.692 0.910
Si7 Si 0.647 0.025 0.075
Si8 Si 0.650 0.316 0.076
Si9 Si 0.654 0.360 0.745
Si10 Si 0.709 0.002 0.743
Si11 Si 0.717 0.337 0.412
Si12 Si 0.800 0.501 0.244
Si13 Si 0.852 0.860 0.245
Si14 Si 0.856 0.814 0.576
Si15 Si 0.861 0.523 0.575
S1 S 0.147 0.147 0.743
S2 S 0.147 0.859 0.743
S3 S 0.148 0.527 0.077
S4 S 0.149 0.482 0.409
S5 S 0.215 0.505 0.743
S6 S 0.217 0.169 0.077
S7 S 0.291 0.669 0.577
S8 S 0.292 0.004 0.243
S9 S 0.358 0.358 0.243
S10 S 0.358 0.981 0.909
S11 S 0.359 0.027 0.577
S12 S 0.361 0.647 0.243
S13 S 0.645 0.692 0.410
S14 S 0.647 0.646 0.744
S15 S 0.647 0.980 0.411
S16 S 0.716 0.669 0.077
S17 S 0.791 0.169 0.577
S18 S 0.792 0.837 0.910
S19 S 0.859 0.481 0.911
S20 S 0.862 0.146 0.243
S21 S 0.862 0.192 0.910
O1 O 0.064 0.097 0.400
O2 O 0.070 0.237 0.466
O3 O 0.071 0.769 0.021
O4 O 0.078 0.233 0.751
O5 O 0.079 0.912 0.083
O6 O 0.080 0.106 0.692
O7 O 0.081 0.565 0.128
O8 O 0.082 0.440 0.068
O9 O 0.082 0.567 0.419
O10 O 0.082 0.773 0.736
O11 O 0.082 0.902 0.795
O12 O 0.084 0.441 0.358
O13 O 0.110 0.920 0.404
O14 O 0.115 0.748 0.420
O15 O 0.116 0.752 0.132
O16 O 0.117 0.093 0.796
O17 O 0.117 0.427 0.751
O18 O 0.117 0.579 0.024
O19 O 0.119 0.093 0.085
O20 O 0.119 0.252 0.353
O21 O 0.119 0.581 0.736
O22 O 0.121 0.246 0.068
O23 O 0.123 0.914 0.692
O24 O 0.129 0.427 0.461
O25 O 0.174 0.323 0.571
O26 O 0.181 0.349 0.966
O27 O 0.184 0.325 0.855
O28 O 0.185 0.680 0.921
O29 O 0.192 0.989 0.901
O30 O 0.194 0.016 0.586
O31 O 0.198 0.351 0.251
O32 O 0.198 0.684 0.629
O33 O 0.199 0.655 0.526
O34 O 0.199 0.656 0.236
O35 O 0.199 0.990 0.192
O36 O 0.201 0.016 0.295
O37 O 0.307 0.490 0.692
O38 O 0.307 0.517 0.795
O39 O 0.309 0.154 0.737
O40 O 0.309 0.155 0.025
O41 O 0.309 0.184 0.129
O42 O 0.310 0.852 0.752
O43 O 0.312 0.517 0.083
O44 O 0.314 0.493 0.401
O45 O 0.319 0.176 0.420
O46 O 0.323 0.825 0.354
O47 O 0.326 0.849 0.466
O48 O 0.328 0.823 0.070
O49 O 0.383 0.926 0.961
O50 O 0.386 0.077 0.525
O51 O 0.386 0.747 0.569
O52 O 0.387 0.414 0.192
O53 O 0.388 0.081 0.235
O54 O 0.388 0.594 0.586
O55 O 0.388 0.595 0.295
O56 O 0.390 0.253 0.633
O57 O 0.390 0.926 0.250
O58 O 0.392 0.248 0.920
O59 O 0.393 0.753 0.854
O60 O 0.397 0.420 0.904
O61 O 0.423 0.066 0.918
O62 O 0.424 0.939 0.569
O63 O 0.424 0.939 0.858
O64 O 0.426 0.064 0.629
O65 O 0.426 0.410 0.585
O66 O 0.427 0.272 0.234
O67 O 0.427 0.400 0.294
O68 O 0.427 0.607 0.191
O69 O 0.429 0.734 0.250
O70 O 0.434 0.270 0.522
O71 O 0.439 0.739 0.965
O72 O 0.440 0.597 0.901
O73 O 0.571 0.411 0.083
O74 O 0.572 0.271 0.020
O75 O 0.572 0.606 0.403
O76 O 0.573 0.069 0.132
O77 O 0.577 0.610 0.692
O78 O 0.579 0.064 0.420
O79 O 0.579 0.266 0.734
O80 O 0.579 0.733 0.462
O81 O 0.580 0.407 0.800
O82 O 0.580 0.927 0.068
O83 O 0.583 0.938 0.359
O84 O 0.584 0.734 0.753
O85 O 0.603 0.421 0.403
O86 O 0.606 0.084 0.731
O87 O 0.612 0.083 0.019
O88 O 0.612 0.917 0.758
O89 O 0.613 0.593 0.084
O90 O 0.614 0.257 0.133
O91 O 0.616 0.251 0.419
O92 O 0.618 0.745 0.358
O93 O 0.622 0.593 0.795
O94 O 0.622 0.747 0.070
O95 O 0.623 0.923 0.462
O96 O 0.624 0.420 0.688
O97 O 0.671 0.848 0.252
O98 O 0.678 0.521 0.582
O99 O 0.680 0.825 0.564
O100 O 0.685 0.488 0.189
O101 O 0.685 0.518 0.298
O102 O 0.696 0.490 0.904
O103 O 0.697 0.156 0.235
O104 O 0.699 0.179 0.629
O105 O 0.700 0.826 0.858
O106 O 0.701 0.180 0.917
O107 O 0.703 0.152 0.526
O108 O 0.703 0.854 0.962
O109 O 0.805 0.654 0.024
O110 O 0.807 0.681 0.417
O111 O 0.808 0.680 0.128
O112 O 0.810 0.989 0.403
O113 O 0.811 0.657 0.736
O114 O 0.817 0.326 0.354
O115 O 0.818 0.356 0.468
O116 O 0.823 0.016 0.799
O117 O 0.825 0.987 0.689
O118 O 0.827 0.326 0.064
O119 O 0.829 0.020 0.082
O120 O 0.835 0.347 0.753
O121 O 0.883 0.919 0.188
O122 O 0.885 0.425 0.962
O123 O 0.885 0.759 0.918
O124 O 0.886 0.093 0.294
O125 O 0.887 0.246 0.572
O126 O 0.890 0.244 0.858
O127 O 0.893 0.757 0.633
O128 O 0.895 0.092 0.585
O129 O 0.896 0.584 0.520
O130 O 0.896 0.913 0.902
O131 O 0.899 0.585 0.230
O132 O 0.903 0.418 0.254
O133 O 0.925 0.440 0.859
O134 O 0.926 0.233 0.250
O135 O 0.927 0.566 0.920
O136 O 0.927 0.908 0.300
O137 O 0.928 0.107 0.191
O138 O 0.928 0.767 0.234
O139 O 0.929 0.231 0.961
O140 O 0.932 0.427 0.572
O141 O 0.932 0.570 0.633
O142 O 0.934 0.104 0.903
O143 O 0.936 0.770 0.520
O144 O 0.936 0.910 0.584
```

V = 15.44 Å³ per atom
E_form = -2912 meV per atom

***

No. 4
Entry from Materials Project: a relaxed Ba13Ru10BrO36 crystal (GGA-PBE).

```
data_Ba13Ru10BrO36
_chemical_formula_sum 'Ba52 Ru40 Br4 O144'
_cell_length_a 20.268
_cell_length_b 11.714
_cell_length_c 20.417
_cell_angle_alpha 90.00
_cell_angle_beta 99.33
_cell_angle_gamma 90.00
_space_group_name_H-M_alt 'C 1 2/m 1'
_space_group_IT_number 12
loop_
_space_group_symop_operation_xyz
'x,y,z'
'-x,-y,-z'
'-x,y,-z'
'x,-y,z'
'x+1/2,y+1/2,z'
'-x+1/2,-y+1/2,-z'
'-x+1/2,y+1/2,-z'
'x+1/2,-y+1/2,z'
loop_
_atom_site_label
_atom_site_type_symbol
_atom_site_fract_x
_atom_site_fract_y
_atom_site_fract_z
Ba1 Ba 0.029 0.000 0.181
Ba2 Ba 0.030 0.500 0.181
Ba3 Ba 0.058 0.500 0.392
Ba4 Ba 0.094 0.250 0.065
Ba5 Ba 0.119 0.000 0.715
Ba6 Ba 0.122 0.500 0.717
Ba7 Ba 0.131 0.247 0.280
Ba8 Ba 0.156 0.000 0.935
Ba9 Ba 0.156 0.500 0.935
Ba10 Ba 0.219 0.249 0.819
Ru1 Ru 0.000 0.000 0.000
Ru2 Ru 0.000 0.500 0.000
Ru3 Ru 0.042 0.249 0.751
Ru4 Ru 0.065 0.250 0.890
Ru5 Ru 0.185 0.000 0.109
Ru6 Ru 0.185 0.500 0.110
Ru7 Ru 0.208 0.000 0.249
Ru8 Ru 0.208 0.500 0.249
Ru9 Ru 0.250 0.250 0.000
Br1 Br 0.090 0.500 0.557
O1 O 0.007 0.130 0.291
O2 O 0.008 0.370 0.297
O3 O 0.022 0.251 0.174
O4 O 0.032 0.123 0.944
O5 O 0.032 0.376 0.944
O6 O 0.091 0.364 0.826
O7 O 0.092 0.000 0.056
O8 O 0.092 0.137 0.825
O9 O 0.092 0.500 0.056
O10 O 0.116 0.250 0.709
O11 O 0.134 0.000 0.291
O12 O 0.135 0.500 0.298
O13 O 0.157 0.387 0.174
O14 O 0.158 0.112 0.174
O15 O 0.158 0.250 0.943
O16 O 0.218 0.127 0.056
O17 O 0.218 0.374 0.057
O18 O 0.229 0.000 0.825
O19 O 0.229 0.500 0.826
O20 O 0.245 0.122 0.709
O21 O 0.246 0.378 0.710
```

V = 19.93 Å³ per atom
E_form = -2182 meV per atom

***

No. 5
Entry from Materials Project: a relaxed CeSe2 crystal (GGA-PBE).

```
data_CeSe2
_chemical_formula_sum 'Ce1 Se2'
_cell_length_a 4.8036
_cell_length_b 4.8036
_cell_length_c 3.5782
_cell_angle_alpha 90.00
_cell_angle_beta 90.00
_cell_angle_gamma 120.00
_space_group_name_H-M_alt 'P 6/m m m'
_space_group_IT_number 191
_space_group_name_Hall '-P 6 2'
loop_
_atom_site_label
_atom_site_type_symbol
_atom_site_fract_x
_atom_site_fract_y
_atom_site_fract_z
Ce1 Ce 0.0000 0.0000 0.0000
Se1 Se 0.3333 0.6667 0.5000
```

V = 23.83 Å³ per atom
E_form = -1351 meV per atom

***

No. 6
Entry from Materials Project: a relaxed HoCd2 crystal (GGA-PBE).

```
data_HoCd2
_chemical_formula_sum 'Ho1 Cd2'
_cell_length_a 5.4297
_cell_length_b 5.4297
_cell_length_c 3.2443
_cell_angle_alpha 90.00
_cell_angle_beta 90.00
_cell_angle_gamma 120.00
_space_group_name_H-M_alt 'P -3 m 1'
_space_group_IT_number 164
_space_group_name_Hall '-P 3 2"'
loop_
_atom_site_label
_atom_site_type_symbol
_atom_site_fract_x
_atom_site_fract_y
_atom_site_fract_z
Ho1 Ho 0.0000 0.0000 0.0000
Cd1 Cd 0.3333 0.6667 0.0487
```

V = 27.61 Å³ per atom
E_form = 126 meV per atom